[1]
Below is an optimized crystal structure of Te4Mo2Ru, with properties calculated at the meta-GGA r2SCAN level.

Calculated values
The calculation puts the total energy at -25.944 eV/atom. As for the magnetic moment: 0.0000 μB per atom. Its formation energy is -0.338 eV per atom.

Unit cell a=7.1177 b=7.1617 c=7.1789 alpha=92.78 beta=93.50 gamma=94.62
Fractional coordinates of all 14 atoms:
Te1 0.0000 0.0000 0.0000
Te2 0.0470 0.3956 0.6743
Te3 0.1406 0.8828 0.5080
Te4 0.3897 0.3477 0.2663
Te5 0.4683 0.8258 0.0948
Te6 0.5493 0.2226 0.7631
Te7 0.6425 0.7281 0.6179
Te8 0.8827 0.5007 0.1698
Mo1 0.0167 0.2016 0.3391
Mo2 0.5153 0.0260 0.4280
Mo3 0.6801 0.1635 0.1379
Mo4 0.8070 0.8689 0.2958
Ru1 0.7197 0.3704 0.4782
Ru2 0.8516 0.0632 0.6388



[2]
Below is an optimized crystal structure of V2MoRu, with properties calculated at the meta-GGA r2SCAN level.

Calculated values
The calculation puts the total energy at -20.221 eV/atom. As for the magnetic moment: 0.0000 μB per atom. Its formation energy is -0.302 eV per atom.

Unit cell a=6.0458 b=6.0458 c=6.0458 alpha=90.00 beta=90.00 gamma=90.00
Fractional coordinates of all 16 atoms:
V1 0.2500 0.2500 0.2500
V2 0.2500 0.2500 0.7500
V3 0.2500 0.7500 0.2500
V4 0.2500 0.7500 0.7500
V5 0.7500 0.2500 0.2500
V6 0.7500 0.2500 0.7500
V7 0.7500 0.7500 0.2500
V8 0.7500 0.7500 0.7500
Mo1 0.0000 0.0000 0.0000
Mo2 0.0000 0.5000 0.5000
Mo3 0.5000 0.0000 0.5000
Mo4 0.5000 0.5000 0.0000
Ru1 0.0000 0.0000 0.5000
Ru2 0.0000 0.5000 0.0000
Ru3 0.5000 0.0000 0.0000
Ru4 0.5000 0.5000 0.5000



[3]
Below is an optimized crystal structure of Sb2MoS, with properties calculated at the meta-GGA r2SCAN level.

Calculated values
The calculation puts the total energy at -21.771 eV/atom. As for the magnetic moment: 0.0000 μB per atom. Its formation energy is -0.391 eV per atom.

Unit cell a=18.6947 b=18.6947 c=6.5748 alpha=94.60 beta=94.60 gamma=19.91
Fractional coordinates of all 32 atoms:
Sb1 0.0104 0.0104 0.2963
Sb2 0.0148 0.4639 0.7051
Sb3 0.0861 0.0861 0.4222
Sb4 0.0869 0.5873 0.4240
Sb5 0.4127 0.9131 0.5760
Sb6 0.4139 0.4139 0.5778
Sb7 0.4639 0.0148 0.7051
Sb8 0.4897 0.4897 0.7037
Sb9 0.5103 0.5103 0.2963
Sb10 0.5361 0.9852 0.2949
Sb11 0.5861 0.5861 0.4222
Sb12 0.5873 0.0869 0.4240
Sb13 0.9131 0.4127 0.5760
Sb14 0.9139 0.9139 0.5778
Sb15 0.9852 0.5361 0.2949
Sb16 0.9896 0.9896 0.7037
Mo1 0.1221 0.1221 0.8296
Mo2 0.1224 0.6218 0.8311
Mo3 0.3779 0.3779 0.1698
Mo4 0.3782 0.8776 0.1689
Mo5 0.6218 0.1224 0.8311
Mo6 0.6221 0.6221 0.8302
Mo7 0.8776 0.3782 0.1689
Mo8 0.8779 0.8779 0.1704
S1 0.1715 0.1715 0.0876
S2 0.1716 0.6714 0.0885
S3 0.3284 0.3284 0.9124
S4 0.3286 0.8284 0.9115
S5 0.6714 0.1716 0.0885
S6 0.6716 0.6716 0.0876
S7 0.8284 0.3286 0.9115
S8 0.8285 0.8285 0.9124



[4]
Below is an optimized crystal structure of SbMo2S2, with properties calculated at the meta-GGA r2SCAN level.

Calculated values
The calculation puts the total energy at -19.381 eV/atom. As for the magnetic moment: 0.0000 μB per atom. Its formation energy is -0.598 eV per atom.

Unit cell a=6.5578 b=3.2035 c=9.4826 alpha=90.00 beta=105.61 gamma=90.00
Fractional coordinates of all 10 atoms:
Sb1 0.0016 0.2500 0.1612
Sb2 0.9984 0.7500 0.8388
Mo1 0.1038 0.2500 0.6137
Mo2 0.3393 0.2500 0.0203
Mo3 0.6607 0.7500 0.9797
Mo4 0.8962 0.7500 0.3863
S1 0.2633 0.7500 0.4937
S2 0.4741 0.2500 0.8113
S3 0.5259 0.7500 0.1887
S4 0.7367 0.2500 0.5063



[5]
Below is an optimized crystal structure of Mo2Se3S, with properties calculated at the meta-GGA r2SCAN level.

Calculated values
The calculation puts the total energy at -17.975 eV/atom. As for the magnetic moment: 0.0000 μB per atom. Its formation energy is -0.790 eV per atom.

Unit cell a=3.2841 b=3.2841 c=35.7324 alpha=90.00 beta=90.00 gamma=120.00
Fractional coordinates of all 12 atoms:
Mo1 0.0000 0.0000 0.0000
Mo2 0.0000 0.0000 0.3744
Mo3 0.3333 0.6667 0.1875
Mo4 0.3333 0.6667 0.5634
Se1 0.0000 0.0000 0.5168
Se2 0.0000 0.0000 0.6100
Se3 0.3333 0.6667 0.0467
Se4 0.3333 0.6667 0.3277
Se5 0.3333 0.6667 0.4210
Se6 0.3333 0.6667 0.9534
S1 0.0000 0.0000 0.1449
S2 0.0000 0.0000 0.2301



[6]
Below is an optimized crystal structure of Mo3Se2S4, with properties calculated at the meta-GGA r2SCAN level.

Calculated values
The calculation puts the total energy at -16.319 eV/atom. As for the magnetic moment: 0.0000 μB per atom. Its formation energy is -0.877 eV per atom.

Unit cell a=3.2268 b=3.2268 c=29.1295 alpha=90.00 beta=90.00 gamma=120.00
Fractional coordinates of all 9 atoms:
Mo1 0.0000 0.0000 0.0000
Mo2 0.0000 0.0000 0.4622
Mo3 0.3333 0.6667 0.2313
Se1 0.0000 0.0000 0.1734
Se2 0.0000 0.0000 0.2892
S1 0.3333 0.6667 0.0529
S2 0.3333 0.6667 0.4094
S3 0.3333 0.6667 0.5150
S4 0.3333 0.6667 0.9472



[7]
Below is an optimized crystal structure of Mo2SeS3, with properties calculated at the meta-GGA r2SCAN level.

Calculated values
The calculation puts the total energy at -15.991 eV/atom. As for the magnetic moment: 0.0000 μB per atom. The calculation puts the energy above the most stable polymorph in this dataset at 6 meV per atom. Its formation energy is -0.899 eV per atom.

Unit cell a=3.2168 b=3.2168 c=35.1952 alpha=90.00 beta=90.00 gamma=120.00
Fractional coordinates of all 12 atoms:
Mo1 0.0000 0.0000 0.0000
Mo2 0.0000 0.0000 0.3753
Mo3 0.3333 0.6667 0.1865
Mo4 0.3333 0.6667 0.5627
Se1 0.3333 0.6667 0.3273
Se2 0.3333 0.6667 0.4233
S1 0.0000 0.0000 0.1427
S2 0.0000 0.0000 0.2303
S3 0.0000 0.0000 0.5189
S4 0.0000 0.0000 0.6064
S5 0.3333 0.6667 0.0438
S6 0.3333 0.6667 0.9562



[8]
Below is an optimized crystal structure of Mo2SeS3, with properties calculated at the meta-GGA r2SCAN level.

Calculated values
The calculation puts the total energy at -15.991 eV/atom. As for the magnetic moment: 0.0000 μB per atom. The calculation puts the energy above the most stable polymorph in this dataset at 7 meV per atom. Its formation energy is -0.898 eV per atom.

Unit cell a=3.2173 b=3.2173 c=34.9080 alpha=90.00 beta=90.00 gamma=120.00
Fractional coordinates of all 12 atoms:
Mo1 0.0000 0.0000 0.0000
Mo2 0.0000 0.0000 0.3738
Mo3 0.3333 0.6667 0.1872
Mo4 0.3333 0.6667 0.5617
Se1 0.0000 0.0000 0.5133
Se2 0.0000 0.0000 0.6101
S1 0.0000 0.0000 0.1430
S2 0.0000 0.0000 0.2314
S3 0.3333 0.6667 0.0442
S4 0.3333 0.6667 0.3297
S5 0.3333 0.6667 0.4180
S6 0.3333 0.6667 0.9558